# 1
# MgP2H12O12

A relaxed structure of MgP2H12O12 (GGA-PBE, the Materials Project database).

## Properties
- Space-group type: P-1, No. 2
- VASP energy: -5.669 eV/atom
- ΔH_f (0 K): -1.81 eV/atom

abc: 7.849 7.820 9.310
angles: 67.12 84.95 73.04
Atoms (fractional coordinates):
1 P 0.086 0.093 0.183
2 H 0.462 0.968 0.868
3 H 0.311 0.993 0.341
4 O 0.242 0.259 0.568
5 H 0.220 0.866 0.589
6 O 0.028 0.797 0.712
7 O 0.301 0.583 0.988
8 H 0.498 0.744 0.626
9 H 0.538 0.032 0.132
10 O 0.710 0.947 0.776
11 O 0.324 0.363 0.819
12 H 0.172 0.633 0.004
13 H 0.689 0.559 0.116
14 H 0.005 0.321 0.287
15 P 0.914 0.907 0.817
16 H 0.995 0.679 0.713
17 H 0.502 0.256 0.374
18 H 0.689 0.007 0.659
19 O 0.051 0.220 0.012
20 O 0.322 0.916 0.540
21 H 0.355 0.501 0.094
22 H 0.828 0.367 0.996
23 O 0.602 0.632 0.688
24 P 0.231 0.427 0.412
25 H 0.701 0.961 0.441
26 H 0.664 0.170 0.080
27 H 0.336 0.830 0.920
28 O 0.251 0.606 0.440
29 Mg 0.863 0.765 0.209
30 O 0.678 0.084 0.460
31 H 0.311 0.441 0.884
32 O 0.935 0.510 0.693
33 O 0.676 0.637 0.181
34 Mg 0.137 0.235 0.791
35 O 0.337 0.967 0.882
36 H 0.645 0.499 0.906
37 H 0.299 0.039 0.559
38 H 0.607 0.583 0.271
39 O 0.398 0.368 0.312
40 P 0.769 0.573 0.588
41 H 0.393 0.417 0.729
42 O 0.699 0.417 0.012
43 O 0.041 0.901 0.238
44 O 0.972 0.203 0.288
45 H 0.171 0.732 0.363
46 O 0.949 0.780 0.988
47 H 0.829 0.268 0.637
48 O 0.749 0.394 0.560
49 O 0.959 0.099 0.762
50 O 0.065 0.490 0.307
51 O 0.758 0.741 0.432
52 O 0.663 0.033 0.118
53 H 0.780 0.134 0.411
54 O 0.290 0.053 0.224

---

# 2
# Mg2PHO5

A relaxed structure of Mg2PHO5 (GGA-PBE, the Materials Project database).

## Properties
- Space-group type: P31m, No. 157
- Offset from the most stable computed form: 412 meV per atom
- VASP energy: -6.067 eV/atom
- ΔH_f (0 K): -2.37 eV/atom

abc: 11.691 11.691 4.873
angles: 90.00 90.00 120.00
Atoms (fractional coordinates):
1 Mg 0.829 0.661 0.482
2 Mg 0.646 0.140 0.929
3 O 0.240 0.715 0.317
4 O 0.237 0.237 0.678
5 O 0.000 0.763 0.678
6 O 0.000 0.000 0.280
7 H 0.109 0.000 0.845
8 O 0.715 0.240 0.317
9 H 0.891 0.891 0.845
10 O 0.465 0.465 0.649
11 Mg 0.167 0.339 0.482
12 O 0.667 0.333 0.749
13 O 0.763 0.000 0.678
14 O 0.524 0.285 0.317
15 H 0.000 0.504 0.464
16 O 0.265 0.872 0.843
17 O 0.266 0.000 0.267
18 O 0.291 0.291 0.964
19 H 0.496 0.496 0.464
20 O 0.128 0.393 0.843
21 O 0.285 0.524 0.317
22 O 0.333 0.667 0.749
23 O 0.760 0.476 0.317
24 O 0.734 0.734 0.267
25 Mg 0.833 0.171 0.482
26 O 0.000 0.472 0.132
27 Mg 0.339 0.167 0.482
28 P 0.651 0.651 0.009
29 O 0.476 0.760 0.317
30 Mg 0.661 0.829 0.482
31 P 0.000 0.349 0.009
32 Mg 0.494 0.354 0.929
33 O 0.000 0.535 0.649
34 Mg 0.860 0.506 0.929
35 Mg 0.506 0.860 0.929
36 H 0.000 0.109 0.845
37 Mg 0.140 0.646 0.929
38 O 0.535 0.000 0.649
39 O 0.607 0.735 0.843
40 O 0.000 0.709 0.964
41 O 0.872 0.265 0.843
42 O 0.393 0.128 0.843
43 O 0.528 0.528 0.132
44 P 0.667 0.333 0.426
45 P 0.349 0.000 0.009
46 O 0.735 0.607 0.843
47 P 0.333 0.667 0.426
48 O 0.709 0.000 0.964
49 O 0.000 0.266 0.267
50 H 0.504 0.000 0.464
51 O 0.472 0.000 0.132
52 Mg 0.171 0.833 0.482
53 Mg 0.354 0.494 0.929
54 P 0.000 0.000 0.969

---

# 3
# Rb2MgP4H8O16

A relaxed structure of Rb2MgP4H8O16 (GGA-PBE, the Materials Project database).

## Properties
- Space-group type: P-1, No. 2
- VASP energy: -6.105 eV/atom
- ΔH_f (0 K): -2.22 eV/atom

abc: 6.964 7.465 7.820
angles: 81.27 70.30 85.63
Atoms (fractional coordinates):
1 H 0.415 0.733 0.424
2 O 0.750 0.074 0.829
3 H 0.585 0.267 0.576
4 O 0.817 0.383 0.889
5 O 0.941 0.287 0.223
6 O 0.250 0.926 0.171
7 O 0.461 0.207 0.564
8 P 0.733 0.806 0.258
9 O 0.246 0.001 0.843
10 O 0.754 0.999 0.157
11 P 0.151 0.736 0.259
12 Rb 0.599 0.719 0.789
13 O 0.772 0.341 0.584
14 H 0.123 0.823 0.789
15 H 0.877 0.177 0.211
16 H 0.755 0.035 0.961
17 H 0.119 0.690 0.648
18 O 0.747 0.656 0.144
19 O 0.253 0.344 0.856
20 H 0.881 0.310 0.352
21 P 0.267 0.194 0.742
22 Rb 0.401 0.281 0.211
23 O 0.183 0.617 0.111
24 P 0.849 0.264 0.741
25 O 0.909 0.775 0.356
26 Mg 0.000 0.500 0.000
27 O 0.228 0.659 0.416
28 O 0.539 0.793 0.436
29 O 0.091 0.225 0.644
30 O 0.059 0.713 0.777
31 H 0.245 0.965 0.039

---

# 4
# MgZn2P4H16O20

A relaxed structure of MgZn2P4H16O20 (GGA-PBE, the Materials Project database).

## Properties
- Space-group type: P-1, No. 2
- VASP energy: -5.525 eV/atom
- ΔH_f (0 K): -1.68 eV/atom

abc: 7.075 7.449 9.311
angles: 105.17 103.91 97.80
Atoms (fractional coordinates):
1 Mg 0.000 0.000 0.500
2 O 0.123 0.542 0.749
3 O 0.087 0.065 0.822
4 H 0.789 0.716 0.644
5 O 0.483 0.667 0.931
6 P 0.358 0.423 0.148
7 O 0.231 0.259 0.172
8 H 0.223 0.045 0.812
9 P 0.642 0.577 0.852
10 H 0.777 0.955 0.188
11 H 0.688 0.654 0.457
12 H 0.312 0.346 0.543
13 H 0.211 0.284 0.356
14 H 0.673 0.187 0.407
15 Zn 0.000 0.000 0.000
16 O 0.769 0.741 0.828
17 O 0.783 0.181 0.991
18 H 0.547 0.871 0.285
19 O 0.913 0.935 0.178
20 O 0.817 0.697 0.541
21 H 0.689 0.323 0.578
22 O 0.217 0.819 0.009
23 P 0.754 0.368 0.087
24 H 0.439 0.958 0.163
25 H 0.561 0.042 0.837
26 H 0.453 0.129 0.715
27 O 0.435 0.018 0.753
28 O 0.455 0.599 0.285
29 O 0.877 0.458 0.251
30 O 0.764 0.287 0.501
31 H 0.311 0.677 0.422
32 H 0.327 0.813 0.593
33 O 0.781 0.527 0.997
34 O 0.219 0.473 0.003
35 H 0.913 0.802 0.174
36 Zn 0.000 0.500 0.500
37 P 0.246 0.632 0.913
38 O 0.183 0.303 0.459
39 O 0.565 0.982 0.247
40 O 0.517 0.333 0.069
41 H 0.087 0.198 0.826
42 O 0.236 0.713 0.499
43 O 0.545 0.401 0.715

---

# 5
# MgZn2P2H24O20

A relaxed structure of MgZn2P2H24O20 (GGA-PBE, the Materials Project database).

## Properties
- Space-group type: P2_1/c, No. 14
- VASP energy: -5.320 eV/atom
- ΔH_f (0 K): -1.61 eV/atom

abc: 7.259 10.878 11.737
angles: 74.28 90.00 90.00
Atoms (fractional coordinates):
1 O 0.213 0.170 0.448
2 O 0.206 0.153 0.744
3 H 0.774 0.676 0.550
4 Mg 0.000 0.500 0.500
5 P 0.869 0.859 0.664
6 O 0.794 0.847 0.256
7 H 0.274 0.324 0.950
8 H 0.707 0.166 0.329
9 H 0.470 0.399 0.701
10 O 0.860 0.085 0.861
11 H 0.614 0.208 0.657
12 O 0.829 0.371 0.439
13 O 0.342 0.814 0.415
14 H 0.984 0.094 0.824
15 H 0.659 0.546 0.587
16 O 0.027 0.493 0.166
17 O 0.140 0.915 0.139
18 O 0.001 0.374 0.672
19 H 0.841 0.546 0.087
20 H 0.113 0.671 0.617
21 O 0.527 0.507 0.334
22 H 0.494 0.580 0.765
23 P 0.369 0.141 0.836
24 H 0.114 0.792 0.843
25 O 0.772 0.586 0.544
26 H 0.994 0.420 0.735
27 O 0.842 0.186 0.085
28 O 0.023 0.761 0.716
29 O 0.713 0.830 0.052
30 O 0.658 0.186 0.585
31 H 0.793 0.166 0.829
32 O 0.640 0.085 0.361
33 H 0.506 0.420 0.235
34 H 0.016 0.906 0.176
35 H 0.387 0.671 0.117
36 O 0.560 0.999 0.135
37 H 0.887 0.329 0.383
38 O 0.973 0.507 0.834
39 O 0.523 0.239 0.784
40 O 0.787 0.830 0.552
41 O 0.060 0.001 0.365
42 H 0.245 0.880 0.390
43 H 0.146 0.523 0.126
44 H 0.587 0.699 0.802
45 H 0.886 0.208 0.157
46 Zn 0.806 0.932 0.387
47 O 0.272 0.414 0.956
48 O 0.360 0.915 0.639
49 Zn 0.306 0.068 0.113
50 H 0.240 0.700 0.501
51 O 0.228 0.414 0.456
52 H 0.484 0.906 0.676
53 O 0.977 0.239 0.284
54 O 0.329 0.629 0.061
55 H 0.087 0.301 0.698
56 P 0.631 0.859 0.164
57 H 0.646 0.477 0.374
58 H 0.740 0.300 0.999
59 O 0.473 0.493 0.666
60 Zn 0.694 0.932 0.887
61 H 0.760 0.300 0.499
62 H 0.386 0.792 0.343
63 O 0.294 0.153 0.244
64 H 0.226 0.324 0.450
65 H 0.207 0.834 0.171
66 O 0.999 0.626 0.328
67 H 0.854 0.477 0.874
68 H 0.030 0.399 0.201
69 O 0.728 0.586 0.044
70 O 0.477 0.761 0.216
71 H 0.755 0.120 0.610
72 H 0.413 0.301 0.198
73 H 0.745 0.120 0.110
74 H 0.159 0.454 0.913
75 H 0.341 0.454 0.413
76 O 0.440 0.001 0.865
77 O 0.671 0.371 0.939
78 O 0.287 0.170 0.948
79 H 0.516 0.094 0.324
80 H 0.530 0.601 0.299
81 O 0.706 0.847 0.756
82 O 0.499 0.374 0.172
83 H 0.913 0.699 0.302
84 O 0.171 0.629 0.561
85 H 0.613 0.329 0.883
86 Zn 0.194 0.068 0.613
87 Mg 0.500 0.500 0.000
88 H 0.354 0.523 0.626
89 H 0.006 0.580 0.265
90 H 0.970 0.601 0.799
91 H 0.255 0.880 0.890
92 O 0.158 0.814 0.915
93 H 0.260 0.700 0.001
94 O 0.940 0.999 0.635
95 O 0.501 0.626 0.828
96 H 0.293 0.834 0.671
97 H 0.726 0.676 0.050
98 P 0.131 0.141 0.336

---

# 6
# MgZrP2H8O12

A relaxed structure of MgZrP2H8O12 (GGA-PBE, the Materials Project database).

## Properties
- Space-group type: P-1, No. 2
- VASP energy: -6.354 eV/atom
- ΔH_f (0 K): -2.22 eV/atom

abc: 5.360 9.519 9.713
angles: 97.10 91.61 90.42
Atoms (fractional coordinates):
1 O 0.226 0.396 0.114
2 H 0.275 0.359 0.200
3 O 0.813 0.091 0.640
4 H 0.328 0.763 0.024
5 H 0.442 0.907 0.875
6 O 0.187 0.909 0.360
7 O 0.023 0.378 0.616
8 Mg 0.500 0.500 0.000
9 O 0.656 0.315 0.919
10 Mg 0.000 0.000 0.000
11 H 0.905 0.837 0.201
12 H 0.410 0.721 0.174
13 H 0.672 0.237 0.976
14 Zr 0.746 0.252 0.510
15 O 0.005 0.156 0.366
16 O 0.148 0.161 0.897
17 O 0.683 0.411 0.381
18 H 0.558 0.093 0.125
19 O 0.235 0.484 0.839
20 O 0.530 0.873 0.603
21 O 0.260 0.055 0.163
22 P 0.768 0.939 0.678
23 O 0.977 0.622 0.384
24 O 0.517 0.655 0.350
25 H 0.590 0.279 0.826
26 O 0.483 0.345 0.650
27 H 0.858 0.741 0.058
28 O 0.765 0.516 0.161
29 O 0.317 0.589 0.619
30 H 0.934 0.552 0.867
31 P 0.264 0.450 0.681
32 Zr 0.254 0.748 0.490
33 H 0.725 0.641 0.800
34 O 0.344 0.685 0.081
35 P 0.232 0.061 0.322
36 O 0.774 0.604 0.886
37 O 0.995 0.844 0.634
38 O 0.740 0.945 0.837
39 H 0.142 0.259 0.942
40 O 0.727 0.131 0.104
41 H 0.066 0.448 0.133
42 H 0.204 0.825 0.806
43 H 0.796 0.175 0.194
44 H 0.095 0.163 0.799
45 O 0.273 0.869 0.896
46 P 0.736 0.550 0.319
47 O 0.470 0.127 0.397
48 O 0.852 0.839 0.103

---

# 7
# Rb2MgH12S2O14

A relaxed structure of Rb2MgH12S2O14 (GGA-PBE, the Materials Project database).

## Properties
- Space-group type: P2_1/c, No. 14
- VASP energy: -5.351 eV/atom
- ΔH_f (0 K): -1.73 eV/atom

abc: 12.592 6.284 9.292
angles: 74.01 90.00 90.00
Atoms (fractional coordinates):
1 H 0.129 0.919 0.239
2 H 0.555 0.654 0.409
3 H 0.871 0.081 0.761
4 O 0.889 0.157 0.838
5 H 0.371 0.919 0.739
6 H 0.903 0.936 0.269
7 O 0.110 0.973 0.835
8 O 0.180 0.058 0.374
9 H 0.095 0.685 0.211
10 H 0.143 0.332 0.972
11 S 0.641 0.731 0.097
12 O 0.566 0.698 0.502
13 O 0.266 0.413 0.911
14 O 0.579 0.781 0.955
15 O 0.434 0.302 0.498
16 O 0.389 0.843 0.662
17 O 0.421 0.219 0.045
18 H 0.403 0.064 0.231
19 H 0.905 0.315 0.789
20 O 0.320 0.058 0.874
21 O 0.610 0.027 0.665
22 O 0.734 0.587 0.089
23 Rb 0.851 0.346 0.373
24 H 0.445 0.346 0.591
25 H 0.629 0.081 0.261
26 S 0.141 0.269 0.403
27 H 0.357 0.332 0.472
28 Rb 0.149 0.654 0.627
29 H 0.316 0.005 0.359
30 H 0.405 0.685 0.711
31 H 0.595 0.315 0.289
32 O 0.071 0.392 0.276
33 O 0.079 0.219 0.545
34 H 0.816 0.995 0.141
35 O 0.571 0.608 0.224
36 S 0.859 0.731 0.597
37 O 0.390 0.973 0.335
38 O 0.929 0.608 0.724
39 H 0.857 0.668 0.028
40 H 0.597 0.936 0.769
41 H 0.184 0.005 0.859
42 H 0.945 0.654 0.909
43 O 0.820 0.942 0.626
44 H 0.097 0.064 0.731
45 O 0.766 0.587 0.589
46 Rb 0.351 0.654 0.127
47 O 0.111 0.843 0.162
48 O 0.234 0.413 0.411
49 O 0.921 0.781 0.455
50 O 0.890 0.027 0.165
51 H 0.684 0.995 0.641
52 O 0.429 0.392 0.776
53 H 0.643 0.668 0.528
54 Mg 0.500 0.000 0.500
55 O 0.680 0.942 0.126
56 H 0.055 0.346 0.091
57 O 0.934 0.698 0.002
58 Mg 0.000 0.000 0.000
59 O 0.066 0.302 0.998
60 S 0.359 0.269 0.903
61 Rb 0.649 0.346 0.873
62 O 0.611 0.157 0.338